No. 1
Material: LiCrP2H5O9
Method: DFT, GGA+U
State: relaxed

Results
SG   Pna2_1 (33)

Geometry as extended XYZ:
```
72
Lattice="15.116 0.000 0.000 0.000 6.777 0.000 0.000 0.000 7.764" Properties=species:S:1:pos:R:3 pbc="T T T"
Li 0.894 1.654 0.000
Li 6.664 5.043 3.882
Li 8.452 1.734 0.000
Li 14.222 5.123 3.882
Cr 2.831 6.348 3.803
Cr 4.727 2.959 7.685
Cr 10.389 3.818 3.803
Cr 12.285 0.429 7.685
P 2.090 4.245 1.394
P 2.087 4.292 6.240
P 5.468 0.857 5.276
P 5.471 0.903 2.358
P 9.645 5.874 6.240
P 9.648 5.921 1.394
P 13.029 2.485 2.358
P 13.026 2.532 5.276
H 0.097 3.358 5.793
H 1.335 1.975 3.002
H 1.342 1.957 4.581
H 3.158 0.645 6.872
H 3.176 0.630 0.719
H 4.382 4.018 4.601
H 4.400 4.033 2.990
H 6.216 5.346 0.698
H 6.223 5.363 6.884
H 7.461 6.747 1.911
H 7.655 0.030 5.793
H 8.893 1.414 3.002
H 8.900 1.432 4.581
H 10.716 2.744 6.872
H 10.734 2.759 0.719
H 11.940 6.148 4.601
H 11.958 6.133 2.990
H 13.774 4.820 0.698
H 13.781 4.803 6.884
H 15.019 3.419 1.911
O 1.099 3.043 6.140
O 1.120 3.029 1.479
O 1.344 1.377 3.787
O 1.684 5.341 5.235
O 1.711 5.313 2.401
O 1.810 4.922 7.698
O 2.735 1.020 7.688
O 3.521 3.791 6.175
O 3.554 3.808 1.429
O 4.004 0.419 5.311
O 4.037 0.403 2.293
O 4.823 4.409 3.806
O 5.748 1.534 3.816
O 5.847 1.924 6.283
O 5.874 1.953 1.353
O 6.214 4.766 7.669
O 6.438 6.418 5.362
O 6.459 6.432 2.258
O 8.656 0.345 6.140
O 8.678 0.359 1.479
O 8.902 2.011 3.787
O 9.242 4.825 5.235
O 9.269 4.853 2.401
O 9.368 5.244 7.698
O 10.293 2.369 7.688
O 11.079 6.375 6.175
O 11.112 6.358 1.429
O 11.562 2.970 5.311
O 11.595 2.986 2.293
O 12.380 5.757 3.806
O 13.306 1.855 3.816
O 13.405 1.465 6.283
O 13.431 1.436 1.353
O 13.772 5.400 7.669
O 13.996 3.748 5.362
O 14.017 3.734 2.258
```


No. 2
Material: Li2FeP4O12
Method: DFT, GGA+U
State: relaxed

Results
ΔE to the lowest computed polymorph   0.019 eV/atom

Geometry as extended XYZ:
```
38
Lattice="-4.617 -4.444 -3.276 5.069 -4.035 3.339 -2.024 0.736 10.580" Properties=species:S:1:pos:R:3 pbc="T T T"
Li -1.214 -4.228 2.943
Li 0.083 -1.638 9.871
Li -0.359 -3.514 7.700
Li -1.655 -6.104 0.772
Fe -3.320 -1.855 3.652
Fe 0.451 -8.478 0.064
P 1.960 -4.747 3.141
P -1.361 -6.602 6.794
P -3.533 -2.995 7.502
P -0.211 -1.140 3.849
P -0.311 -4.722 10.732
P 3.009 -2.869 7.079
P -1.262 -3.019 -0.089
P -4.582 -4.874 3.564
O 0.595 -4.537 3.665
O -2.726 -6.393 7.319
O -2.168 -3.204 6.978
O 1.153 -1.349 3.324
O -2.647 -2.222 0.189
O -1.350 0.367 7.118
O 1.074 -5.520 10.454
O -0.223 -8.109 3.525
O -4.645 -3.943 7.063
O -1.324 -2.088 3.409
O 3.072 -3.799 3.581
O -0.248 -5.654 7.234
O 2.030 -4.717 1.533
O -1.292 -6.574 5.186
O -3.602 -3.024 9.110
O -0.280 -1.168 5.457
O -2.172 -1.264 10.299
O -3.468 -3.855 3.376
O 0.599 -6.477 0.345
O 1.896 -3.888 7.268
O -1.119 -4.071 0.953
O 0.177 -1.484 7.881
O -0.454 -3.670 9.690
O -1.750 -6.258 2.762
```


No. 3
Material: Li9Mn2Co5O16
Method: DFT, GGA+U
State: relaxed

Results
SG   P1 (1)
ΔE to the lowest computed polymorph   0.075 eV/atom

Geometry as extended XYZ:
```
32
Lattice="2.993 0.000 0.000 -0.146 5.041 0.000 -0.478 -1.060 19.308" Properties=species:S:1:pos:R:3 pbc="T T T"
Li 0.000 0.000 0.000
Li 2.794 0.245 7.248
Li -0.093 1.751 2.298
Li 1.301 4.326 2.275
Li 1.146 1.219 12.067
Li 1.227 2.743 7.261
Li 1.067 -0.318 17.019
Li 2.470 2.218 17.040
Li 2.562 3.760 12.044
Mn -0.224 3.516 4.829
Mn 1.025 2.987 14.493
Co -0.310 1.991 9.662
Co 1.257 -0.529 9.651
Co 1.424 2.520 0.007
Co 1.345 0.997 4.816
Co 2.591 0.467 14.489
O -0.201 1.911 5.953
O -0.317 3.631 8.547
O -0.077 3.313 1.054
O -0.341 2.067 13.379
O 0.953 1.346 15.549
O 1.123 4.439 5.956
O 1.418 1.089 1.076
O 1.119 2.873 10.777
O 1.252 1.113 8.550
O 0.956 2.888 18.232
O 1.414 2.608 3.733
O 1.251 -0.436 13.387
O 2.403 3.911 15.597
O 2.445 0.664 18.259
O 2.883 0.079 3.706
O 2.691 0.348 10.771
```


No. 4
Material: LiVSiCO7
Method: DFT, GGA+U
State: relaxed

Results
SG   P2_1/m (11)
ΔE to the lowest computed polymorph   0.002 eV/atom

Geometry as extended XYZ:
```
22
Lattice="5.294 0.000 0.000 0.000 6.373 0.000 -0.871 0.000 8.121" Properties=species:S:1:pos:R:3 pbc="T T T"
Li 1.175 1.593 0.790
Li 3.249 4.780 7.330
V 0.809 4.780 2.599
V 3.615 1.593 5.521
Si 0.988 1.593 3.476
Si 3.435 4.780 4.645
C 1.631 4.780 0.279
C 2.792 1.593 7.841
O 0.329 4.780 0.612
O -0.070 1.593 4.719
O 0.822 0.310 2.484
O 0.822 2.876 2.484
O 1.217 4.780 7.246
O 1.921 4.780 3.985
O 2.377 4.780 1.364
O 2.046 1.593 6.756
O 2.502 1.593 4.136
O 3.207 1.593 0.875
O 3.602 3.497 5.637
O 3.602 6.063 5.637
O 4.494 4.780 3.401
O 4.095 1.593 7.509
```


No. 5
Material: Ba5Ho8Mn4O21
Method: DFT, GGA+U
State: relaxed

Results
SG   I4/m (87)

Geometry as extended XYZ:
```
38
Lattice="-6.985 6.985 2.891 6.985 -6.985 2.891 6.985 6.985 -2.891" Properties=species:S:1:pos:R:3 pbc="T T T"
Ba 0.000 0.000 0.000
Ba 7.470 1.947 0.000
Ba 1.947 6.501 0.000
Ba 5.038 0.484 2.891
Ba -0.484 5.038 2.891
Ho 3.470 2.381 0.000
Ho 4.605 -3.516 2.891
Ho 5.735 5.018 0.000
Ho 1.968 -1.250 2.891
Ho 5.018 8.236 0.000
Ho 1.250 1.968 2.891
Ho 2.381 10.501 0.000
Ho 3.516 4.605 2.891
Mn 10.506 0.559 0.000
Mn 0.559 3.465 0.000
Mn 6.426 3.521 2.891
Mn -3.521 6.426 2.891
O 9.078 -3.409 1.435
O 5.208 0.548 0.000
O 7.669 4.511 -1.433
O 3.576 -2.093 1.456
O 4.511 6.302 -1.433
O 2.475 0.684 1.458
O 6.437 -1.778 2.891
O 10.395 2.093 1.456
O -0.684 2.475 1.458
O 4.893 3.409 1.435
O 0.000 0.000 2.891
O 2.093 3.576 1.456
O 7.669 4.511 1.433
O -3.409 4.893 1.435
O 0.548 8.763 0.000
O 4.511 6.302 1.433
O 2.475 0.684 4.324
O 3.409 9.078 1.435
O -0.684 2.475 4.324
O 1.778 6.437 2.891
O -2.093 10.395 1.456
```


No. 6
Material: ZnCu3W4O12
Method: DFT, GGA+U
State: relaxed

Results
SG   P-1 (2)

Geometry as extended XYZ:
```
20
Lattice="6.668 0.000 0.000 -2.172 6.306 0.000 -2.224 -3.133 5.460" Properties=species:S:1:pos:R:3 pbc="T T T"
Zn 0.000 0.000 0.000
Cu -2.198 1.587 2.730
Cu 2.222 -1.566 2.730
Cu 2.248 3.153 0.000
W -1.112 -1.566 2.730
W -1.086 3.153 0.000
W 3.334 0.000 0.000
W 1.136 1.587 2.730
O -1.706 -0.697 4.377
O -0.467 2.047 1.702
O -2.232 3.381 3.882
O -0.047 4.786 0.643
O 0.541 -0.375 2.628
O 2.153 1.377 0.954
O 0.119 1.797 4.506
O 1.732 3.548 2.832
O 2.319 -1.612 4.817
O 4.504 -0.207 1.578
O 2.739 1.127 3.758
O 3.979 3.870 1.084
```


No. 7
Material: Li2Si3NiO8
Method: DFT, GGA+U
State: relaxed

Results
SG   P2_1 (4)
ΔE to the lowest computed polymorph   0.010 eV/atom

Geometry as extended XYZ:
```
28
Lattice="4.936 0.000 0.000 0.000 10.080 0.000 -0.068 0.000 6.779" Properties=species:S:1:pos:R:3 pbc="T T T"
Li 0.329 0.000 1.691
Li 1.995 3.079 1.789
Li 2.872 8.119 4.990
Li 4.539 5.040 5.088
Si 0.221 7.402 3.257
Si 1.994 5.569 0.182
Si 2.136 3.129 5.248
Si 2.732 8.169 1.532
Si 2.873 0.529 6.597
Si 4.646 2.362 3.522
Ni 0.340 9.934 5.073
Ni 4.527 4.894 1.707
O 0.028 0.795 3.403
O 0.073 3.069 2.125
O 0.400 5.515 0.004
O 0.556 3.100 4.794
O 1.818 7.738 2.834
O 2.306 9.735 1.145
O 2.303 9.896 5.268
O 2.344 2.145 6.587
O 2.524 7.185 0.192
O 2.565 4.856 1.511
O 2.561 4.695 5.635
O 3.049 2.699 3.945
O 4.312 8.140 1.985
O 4.468 0.476 6.775
O 4.794 8.109 4.654
O 4.839 5.835 3.376
```


No. 8
Material: Rb4MgFe4O8
Method: DFT, GGA+U
State: relaxed

Results
SG   P1 (1)
ΔE to the lowest computed polymorph   0.021 eV/atom

Geometry as extended XYZ:
```
17
Lattice="6.036 0.000 0.000 0.041 6.175 0.000 0.102 0.148 8.155" Properties=species:S:1:pos:R:3 pbc="T T T"
Rb 0.000 0.000 0.000
Rb 0.230 3.347 2.250
Rb 2.385 0.373 5.599
Rb 3.493 3.565 4.378
Mg 3.608 2.213 7.946
Fe 0.281 3.348 6.323
Fe 2.734 0.872 2.168
Fe 3.164 4.436 0.159
Fe 5.685 0.228 4.162
O 0.248 4.732 4.845
O 0.951 0.642 2.761
O 2.243 3.421 7.064
O 3.043 2.681 1.697
O 3.075 0.202 0.304
O 3.979 6.226 3.360
O 5.063 3.551 7.887
O 5.595 1.535 5.540
```


No. 9
Material: V2CuH14C2N2O4F8
Method: DFT, GGA+U
State: relaxed

Results
SG   P-1 (2)

Geometry as extended XYZ:
```
33
Lattice="6.761 0.000 0.000 2.369 6.655 0.000 2.957 0.217 7.039" Properties=species:S:1:pos:R:3 pbc="T T T"
V 1.574 1.113 2.134
V 10.513 5.759 4.905
Cu 4.859 0.108 3.519
H 4.033 2.276 4.726
H 4.531 1.229 5.827
H 3.799 3.283 2.135
H 4.117 4.784 0.276
H 5.021 4.382 2.416
H 6.281 2.638 6.883
H 6.654 4.092 4.976
H 5.433 2.780 2.063
H 5.806 4.235 0.156
H 7.066 2.491 4.623
H 7.970 2.088 6.763
H 8.288 3.590 4.903
H 7.556 5.643 1.212
H 8.054 4.596 2.313
C 4.785 3.923 0.414
C 7.302 2.949 6.625
N 4.764 3.560 1.851
N 7.323 3.313 5.188
O 1.482 0.868 0.504
O 4.678 1.537 4.880
O 7.409 5.335 2.159
O 10.605 6.005 6.535
F 3.323 3.863 4.744
F 3.634 5.875 2.711
F 5.601 5.282 4.479
F 3.555 0.904 2.338
F 8.532 5.968 4.701
F 6.486 1.590 2.560
F 8.453 0.998 4.328
F 8.764 3.009 2.295
```


No. 10
Material: Fe2CuP3O12
Method: DFT, GGA+U
State: relaxed

Results
SG   R-3c (167)

Geometry as extended XYZ:
```
36
Lattice="4.309 2.488 6.900 -4.309 2.488 6.900 0.000 -4.976 6.900" Properties=species:S:1:pos:R:3 pbc="T T T"
Fe 0.000 0.000 2.988
Fe 0.000 0.000 7.362
Fe 0.000 0.000 13.337
Fe 0.000 0.000 17.711
Cu 0.000 0.000 0.000
Cu 0.000 0.000 10.350
P -3.034 -0.279 8.625
P -1.275 -2.767 12.074
P 1.759 -2.488 8.625
P -1.759 2.488 12.074
P 1.275 2.767 8.625
P 3.034 0.279 12.074
O -3.513 -0.981 9.889
O -3.665 1.145 8.453
O -2.824 -2.601 12.246
O -0.907 -1.443 6.439
O -0.907 -3.533 10.810
O -1.485 -0.113 8.796
O 0.841 -3.747 8.453
O -0.796 1.507 6.439
O -2.606 2.552 10.810
O -0.644 -1.342 11.903
O 0.841 -1.229 8.796
O -1.703 0.064 14.260
O 1.703 -0.064 6.439
O -0.841 1.229 11.903
O 0.644 1.342 8.796
O 2.606 -2.552 9.889
O 0.796 -1.507 14.260
O -0.841 3.747 12.246
O 1.485 0.113 11.903
O 0.907 3.533 9.889
O 0.907 1.443 14.260
O 2.824 2.601 8.453
O 3.665 -1.145 12.246
O 3.513 0.981 10.810
```


For reference, energy relative to the elements by record: -2.032, -2.565, -1.789, -2.383, -3.291, -1.545, -2.724, -1.634, -1.453, -2.119 eV per atom.